# Ti2Be17

A relaxed Ti2Be17 crystal (PBE-GGA, Materials Project).

a = 7.3364 Å, b = 7.3364 Å, c = 10.7330 Å
α = 90.00°, β = 90.00°, γ = 120.00°
Space group R-3m (No. 166, hexagonal axes)
Symmetry-distinct sites (fractional):
Ti 0.0000 0.0000 0.1638 x6
Be 0.0000 0.0000 0.4010 x6
Be 0.0000 0.2952 0.5000 x18
Be 0.0000 0.5000 0.0000 x9
Be 0.0044 0.5022 0.6558 x18

Results
- uncorrected energy (eV per cell) = -249.4
- calculated formation energy (eV/atom) = -0.199